Record 1
# Co3P4O14

Crystalline Co3P4O14 at its relaxed geometry (PBE with a Hubbard U, the Materials Project).

Results
energy above the lowest structure with this stoichiometry = 29 meV/atom
total energy = -6.81 eV per atom
energy of formation = -2155.4 meV per atom
size of the total moment = 13.7 μB per cell

Unit cell a=5.661 b=7.286 c=13.471 alpha=83.99 beta=82.59 gamma=89.46
Space group P1 (No. 1)
Unique sites:
Co 0.000 0.000 0.000 (multiplicity 1)
Co 0.083 0.676 0.258 (multiplicity 1)
Co 0.186 0.352 0.519 (multiplicity 1)
Co 0.491 0.008 0.500 (multiplicity 1)
Co 0.587 0.675 0.760 (multiplicity 1)
Co 0.683 0.347 0.018 (multiplicity 1)
P 0.008 0.993 0.413 (multiplicity 1)
P 0.085 0.601 0.912 (multiplicity 1)
P 0.086 0.756 0.605 (multiplicity 1)
P 0.162 0.357 0.104 (multiplicity 1)
P 0.508 0.997 0.912 (multiplicity 1)
P 0.584 0.607 0.413 (multiplicity 1)
P 0.585 0.755 0.105 (multiplicity 1)
P 0.665 0.358 0.603 (multiplicity 1)
O 0.004 0.801 0.924 (multiplicity 1)
O 0.057 0.916 0.313 (multiplicity 1)
O 0.106 0.433 0.203 (multiplicity 1)
O 0.175 0.560 0.596 (multiplicity 1)
O 0.188 0.526 0.016 (multiplicity 1)
O 0.214 0.117 0.438 (multiplicity 1)
O 0.273 0.109 0.925 (multiplicity 1)
O 0.282 0.583 0.828 (multiplicity 1)
O 0.298 0.888 0.611 (multiplicity 1)
O 0.363 0.485 0.406 (multiplicity 1)
O 0.387 0.769 0.190 (multiplicity 1)
O 0.399 0.251 0.091 (multiplicity 1)
O 0.463 0.229 0.576 (multiplicity 1)
O 0.475 0.830 0.002 (multiplicity 1)
O 0.501 0.804 0.426 (multiplicity 1)
O 0.555 0.914 0.814 (multiplicity 1)
O 0.608 0.433 0.702 (multiplicity 1)
O 0.671 0.558 0.094 (multiplicity 1)
O 0.691 0.527 0.515 (multiplicity 1)
O 0.711 0.122 0.936 (multiplicity 1)
O 0.774 0.105 0.427 (multiplicity 1)
O 0.776 0.589 0.327 (multiplicity 1)
O 0.799 0.881 0.113 (multiplicity 1)
O 0.863 0.482 0.904 (multiplicity 1)
O 0.887 0.773 0.689 (multiplicity 1)
O 0.902 0.253 0.590 (multiplicity 1)
O 0.961 0.228 0.077 (multiplicity 1)
O 0.980 0.824 0.501 (multiplicity 1)

***

Record 2
# CoP3O9

Crystalline CoP3O9 at its relaxed geometry (PBE with a Hubbard U, the Materials Project).

Results
energy above the lowest structure with this stoichiometry = 63 meV/atom
total energy = -6.88 eV per atom
energy of formation = -2256.9 meV per atom
size of the total moment = 4.0 μB per cell

Unit cell a=6.620 b=6.864 c=7.330 alpha=101.56 beta=93.52 gamma=93.91
Space group P-1 (No. 2)
Unique sites:
Co 0.157 0.089 0.359 (multiplicity 2)
P 0.149 0.196 0.944 (multiplicity 2)
P 0.335 0.877 0.704 (multiplicity 2)
P 0.349 0.433 0.696 (multiplicity 2)
O 0.046 0.853 0.183 (multiplicity 2)
O 0.126 0.243 0.149 (multiplicity 2)
O 0.166 0.911 0.565 (multiplicity 2)
O 0.190 0.324 0.542 (multiplicity 2)
O 0.280 0.377 0.891 (multiplicity 2)
O 0.291 0.011 0.903 (multiplicity 2)
O 0.295 0.662 0.748 (multiplicity 2)
O 0.435 0.593 0.327 (multiplicity 2)
O 0.450 0.072 0.330 (multiplicity 2)

***

Record 3
# Co6P7O24

Crystalline Co6P7O24 at its relaxed geometry (PBE with a Hubbard U, the Materials Project).

Results
total energy = -6.92 eV per atom
energy of formation = -2248.4 meV per atom
size of the total moment = 38.0 μB per cell

Unit cell a=5.262 b=26.546 c=6.424 alpha=90.00 beta=106.88 gamma=90.00
Space group P2_1/m (No. 11)
Unique sites:
Co 0.122 0.186 0.283 (multiplicity 4)
Co 0.183 0.046 0.685 (multiplicity 4)
Co 0.206 0.599 0.088 (multiplicity 4)
P 0.247 0.168 0.807 (multiplicity 4)
P 0.289 0.023 0.204 (multiplicity 4)
P 0.320 0.610 0.616 (multiplicity 4)
P 0.460 0.750 0.903 (multiplicity 2)
O 0.062 0.163 0.954 (multiplicity 4)
O 0.118 0.193 0.591 (multiplicity 4)
O 0.121 0.048 0.991 (multiplicity 4)
O 0.135 0.020 0.373 (multiplicity 4)
O 0.142 0.596 0.389 (multiplicity 4)
O 0.149 0.623 0.768 (multiplicity 4)
O 0.167 0.750 0.781 (multiplicity 2)
O 0.334 0.250 0.224 (multiplicity 2)
O 0.396 0.118 0.793 (multiplicity 4)
O 0.416 0.527 0.171 (multiplicity 4)
O 0.453 0.557 0.707 (multiplicity 4)
O 0.473 0.149 0.384 (multiplicity 4)
O 0.494 0.203 0.941 (multiplicity 4)

***

Record 4
# CoP3O9

Crystalline CoP3O9 at its relaxed geometry (PBE with a Hubbard U, the Materials Project).

Results
energy above the lowest structure with this stoichiometry = 0 meV/atom
total energy = -6.94 eV per atom
energy of formation = -2319.8 meV per atom

Unit cell a=5.120 b=11.927 c=12.945 alpha=90.00 beta=90.00 gamma=90.00
Space group Pbcm (No. 57)
Unique sites:
Co 0.000 0.000 0.000 (multiplicity 4)
P 0.239 0.250 0.000 (multiplicity 4)
P 0.496 0.583 0.132 (multiplicity 8)
O 0.088 0.154 0.546 (multiplicity 8)
O 0.208 0.561 0.118 (multiplicity 8)
O 0.316 0.503 0.591 (multiplicity 8)
O 0.438 0.206 0.087 (multiplicity 8)
O 0.444 0.108 0.250 (multiplicity 4)

***

Record 5
# Co3P2O9

Crystalline Co3P2O9 at its relaxed geometry (PBE with a Hubbard U, the Materials Project).

Results
energy above the lowest structure with this stoichiometry = 0 meV/atom
total energy = -6.61 eV per atom
energy of formation = -1923.7 meV per atom
size of the total moment = 28.0 μB per cell

Unit cell a=9.564 b=7.949 c=9.386 alpha=90.00 beta=115.46 gamma=90.00
Space group P2_1/c (No. 14)
Unique sites:
Co 0.082 0.183 0.034 (multiplicity 4)
Co 0.265 0.593 0.035 (multiplicity 4)
Co 0.390 0.607 0.406 (multiplicity 4)
P 0.015 0.512 0.204 (multiplicity 4)
P 0.376 0.538 0.732 (multiplicity 4)
O 0.010 0.008 0.866 (multiplicity 4)
O 0.030 0.662 0.883 (multiplicity 4)
O 0.119 0.128 0.409 (multiplicity 4)
O 0.176 0.574 0.223 (multiplicity 4)
O 0.283 0.127 0.188 (multiplicity 4)
O 0.319 0.658 0.585 (multiplicity 4)
O 0.355 0.635 0.867 (multiplicity 4)
O 0.414 0.129 0.969 (multiplicity 4)
O 0.451 0.508 0.216 (multiplicity 4)

***

Record 6
# Co2P3O10

Crystalline Co2P3O10 at its relaxed geometry (PBE with a Hubbard U, the Materials Project).

Results
energy above the lowest structure with this stoichiometry = 20 meV/atom
total energy = -6.89 eV per atom
energy of formation = -2236.1 meV per atom

Unit cell a=4.698 b=8.483 c=8.943 alpha=90.00 beta=98.39 gamma=90.00
Space group P2_1/m (No. 11)
Unique sites:
Co 0.052 0.069 0.328 (multiplicity 4)
P 0.331 0.250 0.813 (multiplicity 2)
P 0.389 0.750 0.463 (multiplicity 2)
P 0.476 0.250 0.147 (multiplicity 2)
O 0.171 0.098 0.791 (multiplicity 4)
O 0.214 0.750 0.766 (multiplicity 2)
O 0.224 0.598 0.488 (multiplicity 4)
O 0.302 0.250 0.450 (multiplicity 2)
O 0.310 0.101 0.177 (multiplicity 4)
O 0.410 0.750 0.286 (multiplicity 2)
O 0.470 0.750 0.025 (multiplicity 2)

***

Record 7
# Co3P2O9

Crystalline Co3P2O9 at its relaxed geometry (PBE with a Hubbard U, the Materials Project).

Results
energy above the lowest structure with this stoichiometry = 68 meV/atom
total energy = -6.54 eV per atom
energy of formation = -1856.1 meV per atom
size of the total moment = 28.0 μB per cell

Unit cell a=10.268 b=8.515 c=13.037 alpha=90.00 beta=126.30 gamma=90.00
Space group P2_1/c (No. 14)
Unique sites:
Co 0.090 0.148 0.406 (multiplicity 4)
Co 0.265 0.013 0.697 (multiplicity 4)
Co 0.391 0.736 0.975 (multiplicity 4)
P 0.133 0.008 0.855 (multiplicity 4)
P 0.479 0.039 0.655 (multiplicity 4)
O 0.041 0.028 0.264 (multiplicity 4)
O 0.089 0.595 0.109 (multiplicity 4)
O 0.123 0.137 0.934 (multiplicity 4)
O 0.213 0.642 0.433 (multiplicity 4)
O 0.245 0.079 0.820 (multiplicity 4)
O 0.282 0.050 0.558 (multiplicity 4)
O 0.438 0.679 0.856 (multiplicity 4)
O 0.475 0.118 0.372 (multiplicity 4)
O 0.491 0.039 0.780 (multiplicity 4)

***

Record 8
# Co2PO5

Crystalline Co2PO5 at its relaxed geometry (PBE with a Hubbard U, the Materials Project).

Results
energy above the lowest structure with this stoichiometry = 41 meV/atom
total energy = -6.62 eV per atom
energy of formation = -1909.7 meV per atom
size of the total moment = 28.0 μB per cell

Unit cell a=13.648 b=5.412 c=5.355 alpha=90.00 beta=113.01 gamma=90.00
Space group C2/m (No. 12)
Unique sites:
Co 0.000 0.000 0.000 (multiplicity 2)
Co 0.000 0.000 0.500 (multiplicity 2)
Co 0.250 0.250 0.000 (multiplicity 4)
P 0.129 0.500 0.380 (multiplicity 4)
O 0.062 0.258 0.313 (multiplicity 8)
O 0.112 0.000 0.862 (multiplicity 4)
O 0.197 0.500 0.206 (multiplicity 4)
O 0.197 0.500 0.688 (multiplicity 4)